No. 1
An optimized crystal structure of Tm2Te5O13. Source: the Materials Project, functional PBE.

## Properties
Calculated volume ... 626 Å³/cell
Polymorph energy (0 for the lowest one) ... 0.000 eV/f.u.

Lattice parameters (Å, degrees): 6.951 8.736 10.696 89.00 87.12 74.73
Space group P-1 (No. 2)
One atom of each set of equivalent atoms:
Tm 0.000 0.240 0.240 (multiplicity 2)
Tm 0.448 0.971 0.820 (multiplicity 2)
Te 0.124 0.851 0.107 (multiplicity 2)
Te 0.157 0.303 0.641 (multiplicity 2)
Te 0.273 0.894 0.487 (multiplicity 2)
Te 0.290 0.376 0.976 (multiplicity 2)
Te 0.439 0.403 0.301 (multiplicity 2)
O 0.042 0.850 0.568 (multiplicity 2)
O 0.056 0.320 0.041 (multiplicity 2)
O 0.066 0.518 0.689 (multiplicity 2)
O 0.067 0.765 0.278 (multiplicity 2)
O 0.128 0.991 0.895 (multiplicity 2)
O 0.234 0.999 0.188 (multiplicity 2)
O 0.314 0.236 0.285 (multiplicity 2)
O 0.325 0.727 0.777 (multiplicity 2)
O 0.333 0.238 0.774 (multiplicity 2)
O 0.339 0.012 0.619 (multiplicity 2)
O 0.349 0.485 0.124 (multiplicity 2)
O 0.463 0.693 0.519 (multiplicity 2)
O 0.468 0.169 0.001 (multiplicity 2)

=====

No. 2
An optimized crystal structure of Tm2TeO2. Source: the Materials Project, functional PBE.

## Properties
Calculated volume ... 183 Å³/cell
E_tot ... -7.313 eV/atom

Lattice parameters (Å, degrees): 3.8528 3.8528 14.2466 90.00 90.00 120.00
Space group P6_3/mmc (No. 194)
One atom of each set of equivalent atoms:
Tm 0.3333 0.6667 0.0971 (multiplicity 4)
Te 0.0000 0.0000 0.2500 (multiplicity 2)
O 0.3333 0.6667 0.5602 (multiplicity 4)

=====

No. 3
An optimized crystal structure of Tm2Te5O13. Source: the Materials Project, functional PBE.

## Properties
Calculated volume ... 626 Å³/cell
Polymorph energy (0 for the lowest one) ... 0.959 eV/f.u.

Lattice parameters (Å, degrees): 6.951 8.736 10.696 89.00 87.12 74.73
Space group P1 (No. 1)
One atom of each set of equivalent atoms:
Tm 0.000 0.000 0.000 (multiplicity 1)
Tm 0.002 0.476 0.487 (multiplicity 1)
Tm 0.436 0.210 0.067 (multiplicity 1)
Tm 0.546 0.262 0.420 (multiplicity 1)
Te 0.114 0.092 0.362 (multiplicity 1)
Te 0.151 0.543 0.892 (multiplicity 1)
Te 0.265 0.128 0.742 (multiplicity 1)
Te 0.293 0.614 0.222 (multiplicity 1)
Te 0.447 0.636 0.543 (multiplicity 1)
Te 0.558 0.839 0.949 (multiplicity 1)
Te 0.707 0.867 0.274 (multiplicity 1)
Te 0.716 0.346 0.760 (multiplicity 1)
Te 0.837 0.924 0.600 (multiplicity 1)
Te 0.879 0.383 0.136 (multiplicity 1)
O 0.033 0.093 0.813 (multiplicity 1)
O 0.049 0.546 0.288 (multiplicity 1)
O 0.058 0.006 0.526 (multiplicity 1)
O 0.069 0.745 0.934 (multiplicity 1)
O 0.124 0.219 0.134 (multiplicity 1)
O 0.222 0.243 0.429 (multiplicity 1)
O 0.315 0.465 0.528 (multiplicity 1)
O 0.327 0.958 0.028 (multiplicity 1)
O 0.337 0.247 0.868 (multiplicity 1)
O 0.337 0.474 0.024 (multiplicity 1)
O 0.340 0.724 0.372 (multiplicity 1)
O 0.457 0.928 0.767 (multiplicity 1)
O 0.462 0.413 0.243 (multiplicity 1)
O 0.519 0.061 0.248 (multiplicity 1)
O 0.536 0.543 0.730 (multiplicity 1)
O 0.643 0.746 0.121 (multiplicity 1)
O 0.648 0.221 0.627 (multiplicity 1)
O 0.658 0.993 0.470 (multiplicity 1)
O 0.671 0.509 0.473 (multiplicity 1)
O 0.681 0.002 0.968 (multiplicity 1)
O 0.755 0.244 0.065 (multiplicity 1)
O 0.874 0.242 0.349 (multiplicity 1)
O 0.919 0.465 0.964 (multiplicity 1)
O 0.930 0.712 0.552 (multiplicity 1)
O 0.939 0.907 0.210 (multiplicity 1)
O 0.955 0.388 0.672 (multiplicity 1)

=====

No. 4
An optimized crystal structure of UTeO. Source: the Materials Project, functional PBE.

## Properties
Calculated volume ... 122 Å³/cell
E_tot ... -8.491 eV/atom

Lattice parameters (Å, degrees): 3.970 3.970 7.740 90.00 90.00 90.00
Space group P4/nmm (No. 129, origin choice 2)
One atom of each set of equivalent atoms:
U 0.250 0.250 0.160 (multiplicity 2)
Te 0.250 0.250 0.636 (multiplicity 2)
O 0.250 0.750 0.000 (multiplicity 2)

=====

No. 5
An optimized crystal structure of U2Te2O. Source: the Materials Project, functional PBE.

## Properties
Calculated volume ... 138 Å³/cell
E_tot ... -7.110 eV/atom

Lattice parameters (Å, degrees): 3.170 3.170 13.758 90.00 90.00 90.00
Space group P4/mmm (No. 123)
One atom of each set of equivalent atoms:
U 0.000 0.000 0.149 (multiplicity 2)
Te 0.000 0.000 0.370 (multiplicity 2)
O 0.000 0.000 0.000 (multiplicity 1)

=====

No. 6
An optimized crystal structure of UTe3O9. Source: the Materials Project, functional PBE.

## Properties
Calculated volume ... 1516 Å³/cell
E_tot ... -6.683 eV/atom

Lattice parameters (Å, degrees): 11.487 11.487 11.487 90.00 90.00 90.00
Space group Pa-3 (No. 205)
One atom of each set of equivalent atoms:
U 0.000 0.000 0.000 (multiplicity 4)
U 0.000 0.000 0.500 (multiplicity 4)
Te 0.049 0.237 0.786 (multiplicity 24)
O 0.082 0.598 0.176 (multiplicity 24)
O 0.088 0.656 0.613 (multiplicity 24)
O 0.092 0.092 0.092 (multiplicity 8)
O 0.092 0.592 0.908 (multiplicity 8)
O 0.227 0.227 0.227 (multiplicity 8)

=====

No. 7
An optimized crystal structure of Y2Te4O11. Source: the Materials Project, functional PBE.

## Properties
Calculated volume ... 1020 Å³/cell
E_tot ... -6.549 eV/atom

Lattice parameters (Å, degrees): 12.525 5.184 16.288 90.00 105.39 90.00
Space group C2/c (No. 15)
One atom of each set of equivalent atoms:
Y 0.118 0.248 0.037 (multiplicity 8)
Te 0.121 0.222 0.698 (multiplicity 8)
Te 0.128 0.219 0.374 (multiplicity 8)
O 0.000 0.351 0.750 (multiplicity 4)
O 0.026 0.080 0.597 (multiplicity 8)
O 0.070 0.391 0.455 (multiplicity 8)
O 0.149 0.439 0.169 (multiplicity 8)
O 0.206 0.046 0.946 (multiplicity 8)
O 0.247 0.063 0.628 (multiplicity 8)

=====

No. 8
An optimized crystal structure of Y2Te5O13. Source: the Materials Project, functional PBE.

## Properties
Calculated volume ... 646 Å³/cell
E_tot ... -6.388 eV/atom

Lattice parameters (Å, degrees): 7.055 8.798 10.795 89.46 87.42 74.98
Space group P-1 (No. 2)
One atom of each set of equivalent atoms:
Y 0.002 0.261 0.261 (multiplicity 2)
Y 0.447 0.473 0.321 (multiplicity 2)
Te 0.120 0.351 0.610 (multiplicity 2)
Te 0.155 0.803 0.142 (multiplicity 2)
Te 0.273 0.392 0.989 (multiplicity 2)
Te 0.290 0.875 0.478 (multiplicity 2)
Te 0.439 0.901 0.801 (multiplicity 2)
O 0.046 0.349 0.066 (multiplicity 2)
O 0.060 0.818 0.538 (multiplicity 2)
O 0.064 0.016 0.188 (multiplicity 2)
O 0.066 0.265 0.777 (multiplicity 2)
O 0.123 0.489 0.393 (multiplicity 2)
O 0.235 0.495 0.688 (multiplicity 2)
O 0.314 0.736 0.785 (multiplicity 2)
O 0.328 0.742 0.274 (multiplicity 2)
O 0.329 0.225 0.277 (multiplicity 2)
O 0.337 0.513 0.118 (multiplicity 2)
O 0.348 0.982 0.625 (multiplicity 2)
O 0.461 0.194 0.021 (multiplicity 2)
O 0.465 0.670 0.499 (multiplicity 2)